Entry one
First-principles (GGA-PBE) data for a relaxed structure of Te7OsO5F32, as listed in the Materials Project.

Structure (CIF):
```
data_Te7OsO5F32
_cell_length_a 10.519
_cell_length_b 10.584
_cell_length_c 15.674
_cell_angle_alpha 78.74
_cell_angle_beta 79.48
_cell_angle_gamma 71.93
_space_group_name_H-M_alt 'P -1'
_space_group_IT_number 2
_space_group_name_Hall '-P 1'
loop_
_atom_site_label
_atom_site_fract_x
_atom_site_fract_y
_atom_site_fract_z
Te1 0.003 0.215 0.278
Te2 0.027 0.217 0.951
Te3 0.119 0.724 0.385
Te4 0.309 0.477 0.906
Te5 0.345 0.871 0.104
Te6 0.398 0.281 0.620
Te7 0.477 0.214 0.289
Os1 0.288 0.975 0.366
O1 0.141 0.904 0.364
O2 0.181 0.147 0.315
O3 0.257 0.997 0.472
O4 0.410 0.796 0.375
O5 0.445 0.040 0.330
F1 0.005 0.212 0.697
F2 0.018 0.073 0.217
F3 0.025 0.222 0.527
F4 0.025 0.633 0.668
F5 0.076 0.664 0.133
F6 0.078 0.303 0.174
F7 0.089 0.556 0.402
F8 0.089 0.865 0.621
F9 0.106 0.886 0.045
F10 0.136 0.103 0.871
F11 0.139 0.600 0.958
F12 0.153 0.331 0.907
F13 0.167 0.701 0.762
F14 0.215 0.371 0.614
F15 0.238 0.655 0.470
F16 0.258 0.667 0.293
F17 0.260 0.056 0.067
F18 0.308 0.371 0.016
F19 0.324 0.945 0.229
F20 0.328 0.308 0.361
F21 0.347 0.184 0.729
F22 0.368 0.869 0.783
F23 0.377 0.259 0.194
F24 0.381 0.153 0.557
F25 0.387 0.851 0.983
F26 0.393 0.588 0.941
F27 0.405 0.414 0.682
F28 0.417 0.822 0.620
F29 0.441 0.385 0.514
F30 0.477 0.623 0.749
F31 0.488 0.097 0.904
F32 0.499 0.645 0.117
```

**M_tot**: 0.0 μB per cell



Entry two
First-principles (GGA-PBE) data for a relaxed structure of Te7OsO5F32, as listed in the Materials Project.

Structure (CIF):
```
data_Te7OsO5F32
_cell_length_a 10.488
_cell_length_b 10.771
_cell_length_c 15.715
_cell_angle_alpha 78.63
_cell_angle_beta 82.19
_cell_angle_gamma 72.44
_space_group_name_H-M_alt 'P -1'
_space_group_IT_number 2
_space_group_name_Hall '-P 1'
loop_
_atom_site_label
_atom_site_fract_x
_atom_site_fract_y
_atom_site_fract_z
Te1 0.004 0.400 0.443
Te2 0.201 0.737 0.356
Te3 0.209 0.014 0.787
Te4 0.216 0.463 0.797
Te5 0.282 0.403 0.122
Te6 0.282 0.882 0.108
Te7 0.478 0.287 0.432
Os1 0.030 0.712 0.127
O1 0.006 0.257 0.978
O2 0.036 0.440 0.830
O3 0.103 0.857 0.124
O4 0.133 0.191 0.816
O5 0.208 0.594 0.118
F1 0.036 0.195 0.214
F2 0.054 0.286 0.553
F3 0.065 0.032 0.720
F4 0.099 0.675 0.267
F5 0.129 0.932 0.888
F6 0.135 0.612 0.715
F7 0.145 0.392 0.060
F8 0.160 0.457 0.395
F9 0.184 0.571 0.882
F10 0.192 0.658 0.483
F11 0.193 0.359 0.231
F12 0.225 0.029 0.023
F13 0.227 0.988 0.196
F14 0.252 0.369 0.703
F15 0.293 0.847 0.762
F16 0.294 0.087 0.684
F17 0.300 0.314 0.876
F18 0.307 0.845 0.369
F19 0.337 0.292 0.528
F20 0.341 0.741 0.205
F21 0.349 0.766 0.026
F22 0.350 0.590 0.349
F23 0.359 0.999 0.846
F24 0.362 0.719 0.646
F25 0.365 0.223 0.120
F26 0.381 0.441 0.016
F27 0.382 0.496 0.767
F28 0.389 0.194 0.374
F29 0.424 0.408 0.181
F30 0.426 0.879 0.512
F31 0.445 0.627 0.500
F32 0.451 0.908 0.098
```

**M_tot**: 1.5 μB per cell



Ordering by calculated energy gives the sequence entry one, entry two, with the first entry being the most stable.



Entry one
First-principles (GGA-PBE) data for a relaxed structure of Pr4Se3O10F6, as listed in the Materials Project.

Structure (CIF):
```
data_Pr4Se3O10F6
_cell_length_a 22.636
_cell_length_b 7.200
_cell_length_c 8.441
_cell_angle_alpha 90.00
_cell_angle_beta 99.11
_cell_angle_gamma 90.00
_space_group_name_H-M_alt 'C 1 2/c 1'
_space_group_IT_number 15
_space_group_name_Hall '-C 2yc'
loop_
_atom_site_label
_atom_site_fract_x
_atom_site_fract_y
_atom_site_fract_z
Pr1 0.129 0.085 0.031
Pr2 0.213 0.432 0.670
Se1 0.000 0.110 0.750
Se2 0.093 0.423 0.366
O1 0.020 0.229 0.920
O2 0.061 0.021 0.244
O3 0.116 0.360 0.191
O4 0.128 0.265 0.508
O5 0.145 0.395 0.900
F1 0.179 0.033 0.798
F2 0.223 0.242 0.133
F3 0.246 0.102 0.580
```

**M_tot**: 0.0 μB per cell



Entry two
First-principles (GGA-PBE) data for a relaxed structure of Pr4Se3O10F6, as listed in the Materials Project.

Structure (CIF):
```
data_Pr4Se3O10F6
_cell_length_a 7.200
_cell_length_b 8.441
_cell_length_c 11.877
_cell_angle_alpha 98.67
_cell_angle_beta 107.64
_cell_angle_gamma 90.00
_space_group_name_H-M_alt 'P 1'
_space_group_IT_number 1
_space_group_name_Hall 'P 1'
loop_
_atom_site_label
_atom_site_fract_x
_atom_site_fract_y
_atom_site_fract_z
Pr1 0.000 0.000 0.000
Pr2 0.001 0.805 0.309
Pr3 0.168 0.297 0.312
Pr4 0.266 0.367 0.831
Pr5 0.426 0.864 0.826
Pr6 0.441 0.664 0.143
Pr7 0.565 0.161 0.144
Pr8 0.869 0.501 0.996
Se1 0.110 0.079 0.574
Se2 0.332 0.578 0.569
Se3 0.541 0.969 0.383
Se4 0.700 0.460 0.382
Se5 0.735 0.193 0.758
Se6 0.883 0.693 0.754
O1 0.010 0.256 0.608
O2 0.074 0.837 0.826
O3 0.136 0.591 0.445
O4 0.177 0.086 0.444
O5 0.264 0.577 0.693
O6 0.303 0.081 0.695
O7 0.351 0.818 0.314
O8 0.428 0.418 0.531
O9 0.454 0.140 0.338
O10 0.471 0.435 0.280
O11 0.472 0.755 0.611
O12 0.605 0.337 0.827
O13 0.679 0.930 0.285
O14 0.695 0.027 0.807
O15 0.739 0.636 0.335
O16 0.756 0.731 0.864
O17 0.831 0.320 0.315
O18 0.963 0.915 0.529
O19 0.965 0.233 0.864
O20 0.973 0.524 0.807
F1 0.011 0.034 0.217
F2 0.067 0.753 0.075
F3 0.069 0.535 0.216
F4 0.206 0.465 0.018
F5 0.234 0.193 0.122
F6 0.358 0.125 0.927
F7 0.361 0.914 0.059
F8 0.432 0.632 0.925
F9 0.563 0.415 0.066
F10 0.688 0.966 0.020
F11 0.759 0.700 0.127
F12 0.868 0.250 0.074
```

**M_tot**: 0.0 μB per cell



Ordering by calculated energy gives the sequence entry one, entry two, with the first entry being the most stable.



Entry one
First-principles (GGA-PBE) data for a relaxed structure of Sb4O5F2, as listed in the Materials Project.

Structure (CIF):
```
data_Sb4O5F2
_cell_length_a 6.067
_cell_length_b 5.295
_cell_length_c 13.616
_cell_angle_alpha 90.00
_cell_angle_beta 96.03
_cell_angle_gamma 90.00
_space_group_name_H-M_alt 'P 1 21/c 1'
_space_group_IT_number 14
_space_group_name_Hall '-P 2ybc'
loop_
_atom_site_label
_atom_site_fract_x
_atom_site_fract_y
_atom_site_fract_z
Sb1 0.183 0.225 0.059
Sb2 0.238 0.568 0.299
O1 0.000 0.000 0.500
O2 0.073 0.016 0.917
O3 0.095 0.193 0.708
F1 0.458 0.200 0.861
```

**M_tot**: 0.0 μB per cell



Entry two
First-principles (GGA-PBE) data for a relaxed structure of Sb4O5F2, as listed in the Materials Project.

Structure (CIF):
```
data_Sb4O5F2
_cell_length_a 10.941
_cell_length_b 5.622
_cell_length_c 14.129
_cell_angle_alpha 90.00
_cell_angle_beta 98.15
_cell_angle_gamma 90.00
_space_group_name_H-M_alt 'P 1 21 1'
_space_group_IT_number 4
_space_group_name_Hall 'P 2yb'
loop_
_atom_site_label
_atom_site_fract_x
_atom_site_fract_y
_atom_site_fract_z
Sb1 0.066 0.000 0.424
Sb2 0.099 0.001 0.704
Sb3 0.207 0.542 0.179
Sb4 0.267 0.450 0.907
Sb5 0.302 0.453 0.627
Sb6 0.356 0.038 0.310
Sb7 0.395 0.909 0.040
Sb8 0.417 0.942 0.774
O1 0.040 0.792 0.586
O2 0.075 0.271 0.604
O3 0.254 0.781 0.712
O4 0.268 0.235 0.736
O5 0.303 0.582 0.044
O6 0.326 0.280 0.208
O7 0.337 0.792 0.209
O8 0.392 0.769 0.900
O9 0.429 0.264 0.921
O10 0.463 0.586 0.705
F1 0.080 0.024 0.281
F2 0.191 0.551 0.324
F3 0.198 0.132 0.957
F4 0.418 0.179 0.595
```

**M_tot**: 0.0 μB per cell



Ordering by calculated energy gives the sequence entry one, entry two, with the first entry being the most stable.



Entry one
First-principles (GGA-PBE) data for a relaxed structure of Ta3O7F, as listed in the Materials Project.

Structure (CIF):
```
data_Ta3O7F
_cell_length_a 6.695
_cell_length_b 10.459
_cell_length_c 3.942
_cell_angle_alpha 90.00
_cell_angle_beta 90.00
_cell_angle_gamma 90.00
_space_group_name_H-M_alt 'C m m m'
_space_group_IT_number 65
_space_group_name_Hall '-C 2 2'
loop_
_atom_site_label
_atom_site_fract_x
_atom_site_fract_y
_atom_site_fract_z
Ta1 0.000 0.000 0.000
Ta2 0.000 0.316 0.000
O1 0.000 0.301 0.500
O2 0.000 0.500 0.000
O3 0.190 0.141 0.000
F1 0.000 0.000 0.500
```

**M_tot**: 0.0 μB per cell



Entry two
First-principles (GGA-PBE) data for a relaxed structure of Ta3O7F, as listed in the Materials Project.

Structure (CIF):
```
data_Ta3O7F
_cell_length_a 6.506
_cell_length_b 10.814
_cell_length_c 3.887
_cell_angle_alpha 90.00
_cell_angle_beta 90.00
_cell_angle_gamma 90.00
_space_group_name_H-M_alt 'C m m m'
_space_group_IT_number 65
_space_group_name_Hall '-C 2 2'
loop_
_atom_site_label
_atom_site_fract_x
_atom_site_fract_y
_atom_site_fract_z
Ta1 0.000 0.000 0.000
Ta2 0.000 0.301 0.000
O1 0.000 0.000 0.500
O2 0.000 0.311 0.500
O3 0.192 0.146 0.000
F1 0.000 0.500 0.000
```



Ordering by calculated energy gives the sequence entry two, entry one, with the first entry being the most stable.